1.
A relaxed structure of LaAs2Au, computed with meta-GGA r2SCAN.

Structure (POSCAR):
```
LaAs2Au
1.0
-3.896 -1.360 -0.270
-0.017 -0.758 4.065
-1.567 10.796 -0.097
La As Au
2 4 2
Direct
0.884 0.884 0.768
0.116 0.116 0.232
0.336 0.336 0.672
0.664 0.664 0.328
0.000 0.500 0.000
0.500 0.000 0.000
0.750 0.250 0.500
0.250 0.750 0.500
```

energy: -28.35 eV/atom
ΔH_f (0 K): -915 meV/atom
calculated volume: 22.46 Å³ per atom

2.
A relaxed structure of CoGeO3, computed with meta-GGA r2SCAN.

Structure (POSCAR):
```
CoGeO3
1.0
-4.144 -2.158 2.176
3.116 -4.626 3.519
-0.064 3.545 5.560
O Co Ge
12 4 4
Direct
0.616 0.629 0.137
0.366 0.027 0.207
0.595 0.293 0.431
0.884 0.863 0.371
0.384 0.371 0.863
0.095 0.431 0.293
0.116 0.137 0.629
0.135 0.793 0.973
0.905 0.569 0.707
0.865 0.207 0.027
0.405 0.707 0.569
0.634 0.973 0.793
0.750 0.908 0.092
0.750 0.267 0.733
0.250 0.092 0.908
0.250 0.733 0.267
0.288 0.207 0.396
0.788 0.396 0.207
0.212 0.604 0.793
0.712 0.793 0.604
```

energy: -10.56 eV/atom
ΔH_f (0 K): -1553 meV/atom
calculated volume: 10.98 Å³ per atom

3.
A relaxed structure of Ti2NiIr, computed with meta-GGA r2SCAN.

Structure (POSCAR):
```
Ti2NiIr
1.0
0.000 3.051 3.051
3.051 0.000 3.051
3.051 3.051 0.000
Ni Ti Ir
1 2 1
Direct
0.750 0.750 0.750
0.000 0.000 0.000
0.500 0.500 0.500
0.250 0.250 0.250
```

energy: -23.23 eV/atom
ΔH_f (0 K): -678 meV/atom
calculated volume: 14.20 Å³ per atom

4.
A relaxed structure of TbB4Ru, computed with meta-GGA r2SCAN.

Structure (POSCAR):
```
TbB4Ru
1.0
-1.546 -0.663 3.140
0.685 -5.851 -0.899
10.299 0.414 5.158
B Ru Tb
16 4 4
Direct
0.000 0.363 0.470
0.000 0.288 0.315
0.000 0.524 0.809
0.000 0.476 0.191
0.000 0.712 0.685
0.000 0.788 0.185
0.000 0.024 0.691
0.000 0.888 0.454
0.000 0.212 0.815
0.000 0.637 0.530
0.000 0.112 0.546
0.000 0.612 0.954
0.000 0.388 0.046
0.000 0.976 0.309
0.000 0.863 0.030
0.000 0.137 0.970
0.500 0.140 0.408
0.500 0.360 0.908
0.500 0.640 0.092
0.500 0.860 0.592
0.500 0.628 0.350
0.500 0.372 0.650
0.500 0.128 0.150
0.500 0.872 0.850
```

energy: -15.03 eV/atom
ΔH_f (0 K): -689 meV/atom
calculated volume: 10.19 Å³ per atom

5.
A relaxed structure of PrGa6, computed with meta-GGA r2SCAN.

Structure (POSCAR):
```
PrGa6
1.0
-5.582 -0.697 2.144
-0.004 -5.722 -1.871
2.863 -2.205 6.736
Ga Pr
12 2
Direct
0.460 0.960 0.655
0.040 0.960 0.345
0.250 0.250 0.161
0.750 0.750 0.161
0.040 0.540 0.655
0.250 0.250 0.839
0.960 0.040 0.655
0.540 0.040 0.345
0.460 0.540 0.345
0.750 0.750 0.839
0.960 0.460 0.345
0.540 0.460 0.655
0.250 0.750 0.000
0.750 0.250 0.000
```

energy: -14.40 eV/atom
ΔH_f (0 K): -394 meV/atom
calculated volume: 19.79 Å³ per atom

6.
A relaxed structure of SmCoGe, computed with meta-GGA r2SCAN.

Structure (POSCAR):
```
SmCoGe
1.0
4.398 0.000 0.000
0.000 6.932 0.000
0.000 0.000 7.259
Sm Co Ge
4 4 4
Direct
0.750 0.308 0.028
0.750 0.192 0.528
0.250 0.692 0.972
0.250 0.808 0.472
0.750 0.929 0.851
0.250 0.071 0.149
0.750 0.571 0.351
0.250 0.429 0.649
0.750 0.607 0.694
0.250 0.107 0.806
0.250 0.393 0.306
0.750 0.893 0.194
```

energy: -19.54 eV/atom
ΔH_f (0 K): -598 meV/atom
calculated volume: 18.44 Å³ per atom

7.
A relaxed structure of Na2H10SO5, computed with meta-GGA r2SCAN.

Structure (POSCAR):
```
Na2H10SO5
1.0
1.162 3.553 5.885
-5.541 -4.034 -1.280
4.157 -6.740 3.248
Na O H S
4 10 20 2
Direct
0.000 0.000 0.000
0.546 0.454 0.750
0.000 0.000 0.500
0.454 0.546 0.250
0.093 0.907 0.250
0.617 0.863 0.073
0.617 0.863 0.427
0.137 0.383 0.427
0.863 0.617 0.927
0.383 0.137 0.573
0.863 0.617 0.573
0.137 0.383 0.073
0.907 0.093 0.750
0.383 0.137 0.927
0.629 0.999 0.379
0.821 0.523 0.477
0.477 0.179 0.023
0.985 0.263 0.750
0.821 0.523 0.023
0.371 0.001 0.621
0.371 0.001 0.879
0.263 0.985 0.250
0.999 0.629 0.621
0.001 0.371 0.121
0.179 0.477 0.523
0.999 0.629 0.879
0.523 0.821 0.977
0.523 0.821 0.523
0.629 0.999 0.121
0.001 0.371 0.379
0.179 0.477 0.977
0.737 0.015 0.750
0.477 0.179 0.477
0.015 0.737 0.250
0.688 0.312 0.250
0.312 0.688 0.750
```

energy: -5.53 eV/atom
ΔH_f (0 K): -1110 meV/atom
calculated volume: 9.40 Å³ per atom

8.
A relaxed structure of La2Al3Ge4, computed with meta-GGA r2SCAN.

Structure (POSCAR):
```
La2Al3Ge4
1.0
3.039 -7.622 0.000
3.039 7.622 0.000
0.000 0.000 8.071
Ge Al La
8 6 4
Direct
0.799 0.701 0.250
0.701 0.799 0.750
0.299 0.201 0.250
0.313 0.687 0.446
0.187 0.813 0.946
0.813 0.187 0.054
0.687 0.313 0.554
0.201 0.299 0.750
0.500 0.500 0.500
0.000 0.000 0.000
0.534 0.966 0.750
0.966 0.534 0.250
0.034 0.466 0.750
0.466 0.034 0.250
0.615 0.385 0.918
0.885 0.115 0.418
0.385 0.615 0.082
0.115 0.885 0.582
```

energy: -15.57 eV/atom
ΔH_f (0 K): -549 meV/atom
calculated volume: 20.77 Å³ per atom

Number 1: total magnetic moment 0.00 μB per atom. Number 2: total magnetic moment 0.60 μB per atom. Number 3: total magnetic moment 0.00 μB per atom. Number 4: total magnetic moment 0.00 μB per atom. Number 5: total magnetic moment 0.00 μB per atom. Number 6: total magnetic moment 0.00 μB per atom. Number 7: total magnetic moment 0.00 μB per atom. Number 8: total magnetic moment 0.00 μB per atom.